An optimized crystal structure of KTlCl2, computed with PBE.

Geometry as POSCAR:
```
KTlCl2
1.0
-4.573 4.573 6.458
4.573 -4.573 6.458
4.573 4.573 -6.458
K Tl Cl
4 4 8
Direct
0.000 0.000 0.000 K
0.000 0.000 0.500 K
0.000 0.500 0.000 K
0.500 0.000 0.500 K
0.000 0.500 0.500 Tl
0.500 0.000 0.000 Tl
0.500 0.500 0.000 Tl
0.500 0.500 0.500 Tl
0.243 0.247 0.996 Cl
0.247 0.243 0.496 Cl
0.247 0.752 0.004 Cl
0.248 0.753 0.496 Cl
0.752 0.247 0.504 Cl
0.753 0.248 0.996 Cl
0.753 0.757 0.504 Cl
0.757 0.753 0.004 Cl
```

Results
* DFT total energy: -3.2775 eV per atom